No. 1
Below is a relaxed Ca3MnN3 crystal, with properties calculated at the PBE level.

Structure (extended XYZ):
```
14
Lattice="4.197 -5.135 0.000 4.197 5.135 0.000 0.000 0.000 5.037" Properties=species:S:1:pos:R:3 pbc="T T T"
Ca 4.197 4.030 3.778
Ca 2.417 1.196 3.778
Ca 2.417 -1.196 1.259
Ca 5.978 1.196 3.778
Ca 5.978 -1.196 1.259
Ca 4.197 -4.030 1.259
Mn 4.197 2.047 1.259
Mn 4.197 -2.047 3.778
N 4.197 3.843 1.259
N 2.583 1.291 1.259
N 2.583 -1.291 3.778
N 5.812 1.291 1.259
N 5.812 -1.291 3.778
N 4.197 -3.843 3.778
```

Energy of formation   -1.026 eV/atom
Space-group type   Cmcm

=====

No. 2
Below is a relaxed Lu5Ni2Bi crystal, with properties calculated at the PBE level.

Structure (extended XYZ):
```
16
Lattice="-3.704 3.704 6.924 3.704 -3.704 6.924 3.704 3.704 -6.924" Properties=species:S:1:pos:R:3 pbc="T T T"
Lu 0.000 0.000 0.000
Lu 4.876 1.172 -1.834
Lu 1.172 2.532 -1.834
Lu 4.876 1.172 1.834
Lu 1.172 2.532 1.834
Lu 0.000 0.000 6.924
Lu 2.532 1.172 5.090
Lu -1.172 2.532 5.090
Lu 2.532 1.172 8.758
Lu -1.172 2.532 8.758
Ni 2.739 0.965 0.000
Ni 2.739 -0.965 6.924
Ni 0.965 4.669 0.000
Ni 0.965 2.739 6.924
Bi 0.000 0.000 3.462
Bi 0.000 0.000 10.386
```

Energy of formation   -0.478 eV/atom
Space-group type   I4/mcm

=====

No. 3
Below is a relaxed K2Mg2Be3F12 crystal, with properties calculated at the PBE level.

Structure (extended XYZ):
```
76
Lattice="10.039 0.000 0.000 0.000 10.039 0.000 0.000 0.000 10.039" Properties=species:S:1:pos:R:3 pbc="T T T"
K 0.651 0.651 0.651
K 2.023 7.043 8.016
K 2.997 2.997 2.997
K 4.369 9.389 5.670
K 5.670 4.369 9.389
K 7.043 8.016 2.023
K 8.016 2.023 7.043
K 9.389 5.670 4.369
Mg 0.856 9.183 4.163
Mg 1.473 3.547 6.493
Mg 3.547 6.493 1.473
Mg 4.163 0.856 9.183
Mg 5.876 5.876 5.876
Mg 6.493 1.473 3.547
Mg 8.567 8.567 8.567
Mg 9.183 4.163 0.856
Be 0.401 7.314 1.267
Be 1.267 0.401 7.314
Be 2.295 3.753 9.638
Be 2.725 6.287 4.619
Be 3.753 9.638 2.295
Be 4.619 2.725 6.287
Be 5.421 7.745 8.773
Be 6.287 4.619 2.725
Be 7.314 1.267 0.401
Be 7.745 8.773 5.421
Be 8.773 5.421 7.745
Be 9.638 2.295 3.753
F 0.036 0.831 3.488
F 0.209 8.136 2.580
F 0.218 9.517 8.030
F 0.522 3.011 4.802
F 0.763 1.880 7.364
F 0.831 3.488 0.036
F 1.531 10.004 5.851
F 1.880 7.364 0.763
F 1.903 7.599 4.811
F 2.009 5.237 5.542
F 2.344 4.256 8.160
F 2.440 9.831 3.116
F 2.580 0.209 8.136
F 2.675 5.783 3.140
F 3.011 4.802 0.522
F 3.116 2.440 9.831
F 3.140 2.675 5.783
F 3.488 0.036 0.831
F 4.188 6.551 5.055
F 4.256 8.160 2.344
F 4.498 7.029 9.822
F 4.802 0.522 3.011
F 4.811 1.903 7.599
F 4.984 9.208 8.508
F 5.055 4.188 6.551
F 5.228 6.923 7.460
F 5.237 5.542 2.009
F 5.542 2.009 5.237
F 5.783 3.140 2.675
F 5.851 1.531 10.004
F 6.551 5.055 4.188
F 6.899 7.695 9.276
F 6.923 7.460 5.228
F 7.029 9.822 4.498
F 7.364 0.763 1.880
F 7.460 5.228 6.923
F 7.599 4.811 1.903
F 7.695 9.276 6.899
F 8.030 0.218 9.517
F 8.136 2.580 0.209
F 8.160 2.344 4.256
F 8.508 4.984 9.208
F 9.208 8.508 4.984
F 9.276 6.899 7.695
F 9.517 8.030 0.218
F 9.822 4.498 7.029
F 9.831 3.116 2.440
F 10.004 5.851 1.531
```

Energy of formation   -3.577 eV/atom
Space-group type   P2_13
Total magnetic moment   0.00 μB/f.u.

=====

Please write out number 3 again, unchanged.
Below is a relaxed K2Mg2Be3F12 crystal, with properties calculated at the PBE level.

Structure (extended XYZ):
```
76
Lattice="10.039 0.000 0.000 0.000 10.039 0.000 0.000 0.000 10.039" Properties=species:S:1:pos:R:3 pbc="T T T"
K 0.651 0.651 0.651
K 2.023 7.043 8.016
K 2.997 2.997 2.997
K 4.369 9.389 5.670
K 5.670 4.369 9.389
K 7.043 8.016 2.023
K 8.016 2.023 7.043
K 9.389 5.670 4.369
Mg 0.856 9.183 4.163
Mg 1.473 3.547 6.493
Mg 3.547 6.493 1.473
Mg 4.163 0.856 9.183
Mg 5.876 5.876 5.876
Mg 6.493 1.473 3.547
Mg 8.567 8.567 8.567
Mg 9.183 4.163 0.856
Be 0.401 7.314 1.267
Be 1.267 0.401 7.314
Be 2.295 3.753 9.638
Be 2.725 6.287 4.619
Be 3.753 9.638 2.295
Be 4.619 2.725 6.287
Be 5.421 7.745 8.773
Be 6.287 4.619 2.725
Be 7.314 1.267 0.401
Be 7.745 8.773 5.421
Be 8.773 5.421 7.745
Be 9.638 2.295 3.753
F 0.036 0.831 3.488
F 0.209 8.136 2.580
F 0.218 9.517 8.030
F 0.522 3.011 4.802
F 0.763 1.880 7.364
F 0.831 3.488 0.036
F 1.531 10.004 5.851
F 1.880 7.364 0.763
F 1.903 7.599 4.811
F 2.009 5.237 5.542
F 2.344 4.256 8.160
F 2.440 9.831 3.116
F 2.580 0.209 8.136
F 2.675 5.783 3.140
F 3.011 4.802 0.522
F 3.116 2.440 9.831
F 3.140 2.675 5.783
F 3.488 0.036 0.831
F 4.188 6.551 5.055
F 4.256 8.160 2.344
F 4.498 7.029 9.822
F 4.802 0.522 3.011
F 4.811 1.903 7.599
F 4.984 9.208 8.508
F 5.055 4.188 6.551
F 5.228 6.923 7.460
F 5.237 5.542 2.009
F 5.542 2.009 5.237
F 5.783 3.140 2.675
F 5.851 1.531 10.004
F 6.551 5.055 4.188
F 6.899 7.695 9.276
F 6.923 7.460 5.228
F 7.029 9.822 4.498
F 7.364 0.763 1.880
F 7.460 5.228 6.923
F 7.599 4.811 1.903
F 7.695 9.276 6.899
F 8.030 0.218 9.517
F 8.136 2.580 0.209
F 8.160 2.344 4.256
F 8.508 4.984 9.208
F 9.208 8.508 4.984
F 9.276 6.899 7.695
F 9.517 8.030 0.218
F 9.822 4.498 7.029
F 9.831 3.116 2.440
F 10.004 5.851 1.531
```

Energy of formation   -3.577 eV/atom
Space-group type   P2_13
Total magnetic moment   0.00 μB/f.u.

=====

Question: Among the records above, which one has the lowest energy of formation?
Answer: K2Mg2Be3F12

=====

Question: Look up the energy of formation of the first one.
Answer: -1.026 eV/atom